This record from the Materials Project describes a relaxed Na4Fe2C4SO16 crystal. The functional is PBE+U.

Properties
space-group type = P1
final energy = -357.89 eV per cell
formation energy = -52.001 eV per formula unit
total magnetic moment = 10.00 μB per formula unit

Cell lengths 9.9522, 9.7840, 9.9512 Å; angles 59.94, 59.43, 60.34 degrees
With the nearest neighbours (Å) after each atom.
Sites, in units of the cell vectors:
O1 0.9408 0.9363 0.6873  1 S 1.50
O2 0.6914 0.9377 0.9355  1 S 1.48
O3 0.0638 0.0624 0.0609  1 S 1.50
O4 0.8603 0.3509 0.5996  1 C 1.31
O5 0.3550 0.8577 0.6910  1 C 1.30
O6 0.3954 0.1427 0.6431  1 C 1.29
O7 0.1426 0.6464 0.3999  1 C 1.31
O8 0.3085 0.4018 0.6478  1 C 1.31
O9 0.6445 0.3188 0.3957  1 C 1.29
O10 0.4029 0.6354 0.3182  1 C 1.29
O11 0.3547 0.6840 0.6052  1 C 1.30
O12 0.3141 0.1438 0.4087  1 C 1.29
O13 0.3076 0.0631 0.0588  1 S 1.48
O14 0.3645 0.5932 0.8577  1 C 1.30
O15 0.6435 0.1441 0.3125  1 C 1.29
O16 0.6004 0.6893 0.8579  1 C 1.31
O17 0.1382 0.3933 0.3191  1 C 1.31
O18 0.9400 0.9397 0.9283  1 S 1.48
O19 0.0649 0.3110 0.0601  1 S 1.50
O20 0.3977 0.3129 0.1464  1 C 1.30
O21 0.8598 0.6009 0.6873  1 C 1.31
O22 0.6872 0.3624 0.8534  1 C 1.29
O23 0.1383 0.3137 0.6470  1 C 1.31
O24 0.6913 0.5972 0.3523  1 C 1.31
O25 0.5988 0.8533 0.3640  1 C 1.28
O26 0.5979 0.3655 0.6847  1 C 1.29
O27 0.6867 0.8536 0.5934  1 C 1.28
O28 0.6465 0.4037 0.1384  1 C 1.31
O29 0.8548 0.6853 0.3633  1 C 1.30
O30 0.9310 0.6902 0.9321  1 S 1.51
O31 0.0568 0.0654 0.3068  1 S 1.48
O32 0.3183 0.6462 0.1423  1 C 1.30
Fe1 0.5022 0.9998 0.4955  6 O 1.98-2.07
Fe2 0.5009 0.5006 0.5014  6 O 2.03-2.08
Fe3 0.0002 0.5024 0.4941  6 O 2.00-2.10
Fe4 0.4973 0.4961 0.0034  6 O 2.00-2.09
C1 0.3595 0.7110 0.7176  3 O 1.30
C2 0.7142 0.7159 0.7118  3 O 1.28-1.31
C3 0.7134 0.3602 0.7132  3 O 1.29-1.31
C4 0.2854 0.2826 0.2917  3 O 1.29-1.31
C5 0.2892 0.6411 0.2870  3 O 1.29-1.31
C6 0.6420 0.2886 0.2844  3 O 1.29-1.31
C7 0.2830 0.2855 0.6435  3 O 1.29-1.31
C8 0.7137 0.7139 0.3608  3 O 1.28-1.31
Na1 0.9085 0.9191 0.3250  6 O 2.36-2.59
Na2 0.9094 0.3260 0.9188  6 O 2.38-2.53
Na3 0.6575 0.6808 0.0875  5 O 2.29-2.55
Na4 0.3507 0.3210 0.9195  6 O 2.33-2.61
Na5 0.9144 0.3352 0.3353  6 O 2.39-2.51
Na6 0.3374 0.9137 0.9121  6 O 2.37-2.49
Na7 0.0880 0.0758 0.6590  6 O 2.29-2.55
Na8 0.0864 0.6769 0.6590  6 O 2.30-2.55
S1 0.1251 0.1239 0.1237  4 O 1.48-1.50
S2 0.8735 0.8779 0.8735  4 O 1.48-1.51


This record from the Materials Project describes a relaxed MgFeAsO5 crystal. The functional is PBE+U.

Properties
space-group type = P2_12_12_1
final energy = -199.64 eV per cell
formation energy = -16.132 eV per formula unit
total magnetic moment = 5.00 μB per formula unit

Cell lengths 6.1405, 8.1197, 8.5068 Å; angles 90.00, 90.00, 90.00 degrees
With the nearest neighbours (Å) after each atom.
Sites, in units of the cell vectors:
O1 0.0885 0.7695 0.4627  1 As 1.69
O2 0.9853 0.0959 0.4148  1 As 1.74
O3 0.7718 0.4327 0.3144  1 As 1.73
O4 0.7852 0.8484 0.2267  1 As 1.72
O5 0.7282 0.5673 0.8144  1 As 1.73
O6 0.9115 0.2695 0.0373  1 As 1.69
O7 0.5029 0.6493 0.1008  2 Fe 1.90-1.98, 1 Mg 1.96
O8 0.0029 0.8507 0.8992  2 Fe 1.90-1.98, 1 Mg 1.96
O9 0.2718 0.0673 0.6856  1 As 1.73
O10 0.4971 0.1493 0.3992  2 Fe 1.90-1.98, 1 Mg 1.96
O11 0.5885 0.7305 0.5373  1 As 1.69
O12 0.2852 0.6516 0.7733  1 As 1.72
O13 0.4853 0.4041 0.5852  1 As 1.74
O14 0.4115 0.2305 0.9627  1 As 1.69
O15 0.2282 0.9327 0.1856  1 As 1.73
O16 0.5147 0.9041 0.9148  1 As 1.74
O17 0.7148 0.1516 0.7267  1 As 1.72
O18 0.2148 0.3484 0.2733  1 As 1.72
O19 0.0147 0.5959 0.0852  1 As 1.74
O20 0.9971 0.3507 0.6008  2 Fe 1.90-1.98, 1 Mg 1.96
Mg1 0.1092 0.8442 0.6821  4 O 1.96-2.07
Mg2 0.6092 0.6558 0.3179  4 O 1.96-2.07
Mg3 0.3908 0.1558 0.1821  4 O 1.96-2.07
Mg4 0.8908 0.3442 0.8179  4 O 1.96-2.07
As1 0.5207 0.5929 0.6786  4 O 1.69-1.74
As2 0.9793 0.4071 0.1786  4 O 1.69-1.74
As3 0.4793 0.0929 0.8214  4 O 1.69-1.74
As4 0.0207 0.9071 0.3214  4 O 1.69-1.74
Fe1 0.2592 0.7520 0.0051  3 O 1.90-2.08
Fe2 0.2408 0.2480 0.5051  3 O 1.90-2.08
Fe3 0.7592 0.7480 0.9949  3 O 1.90-2.08
Fe4 0.7408 0.2520 0.4949  3 O 1.90-2.08


This record from the Materials Project describes a relaxed MgFeCoO4 crystal. The functional is PBE+U.

Properties
space-group type = P2/m
final energy = -43.65 eV per cell
formation energy = -13.317 eV per formula unit
total magnetic moment = 5.00 μB per formula unit

Cell lengths 5.1035, 10.4336, 10.0078 Å; angles 16.43, 28.56, 32.60 degrees
With the nearest neighbours (Å) after each atom.
Sites, in units of the cell vectors:
Fe1 0.5000 0.0000 0.5000  6 O 2.00-2.09
Mg1 0.0000 0.0000 0.0000  6 O 2.07-2.14
O1 0.7770 0.5000 0.7448  1 Co 1.93, 2 Fe 2.09, 2 Mg 2.14
O2 0.2230 0.5000 0.2552  1 Co 1.93, 2 Fe 2.09, 2 Mg 2.14
O3 0.2789 0.0000 0.2139  2 Co 1.95, 1 Fe 2.00, 1 Mg 2.07
O4 0.7211 0.0000 0.7861  2 Co 1.95, 1 Fe 2.00, 1 Mg 2.07
Co1 0.5000 0.5000 0.5000  6 O 1.93-1.95


This record from the Materials Project describes a relaxed Y6MgMn6O18 crystal. The functional is PBE+U.

Properties
space-group type = P1
final energy = -254.17 eV per cell
formation energy = -92.110 eV per formula unit
total magnetic moment = 25.99 μB per formula unit

Cell lengths 6.2344, 6.2515, 11.9040 Å; angles 89.97, 90.76, 119.50 degrees
With the nearest neighbours (Å) after each atom.
Sites, in units of the cell vectors:
O1 0.9966 0.9969 0.4767  3 Mn 2.09-2.10, 1 Y 2.34
O2 0.0505 0.0461 0.9662  3 Mn 2.06-2.27, 1 Mg 2.07
O3 0.9787 0.2993 0.1736  1 Mn 2.07, 2 Y 2.25-2.30
O4 0.6904 0.6906 0.1828  1 Mn 2.00, 1 Y 2.22
O5 0.3359 0.6482 0.0199  1 Mn 1.99, 1 Mg 2.09
O6 0.6945 0.9985 0.6609  1 Mn 1.94
O7 0.0006 0.6930 0.6607  1 Mn 1.94
O8 0.6348 0.6314 0.8314  1 Mg 2.03
O9 0.3329 0.6631 0.5204  3 Mn 2.10-2.13
O10 0.3745 0.0126 0.8370  1 Mn 2.00
O11 0.9991 0.6366 0.3411  1 Mn 1.88
O12 0.3522 0.3462 0.3405  1 Mn 1.91
O13 0.3095 0.2991 0.6617  1 Mn 1.92
O14 0.2980 0.9754 0.1641  1 Mn 1.94
O15 0.6298 0.9940 0.3411  1 Mn 1.88
O16 0.6689 0.3325 0.5209  3 Mn 2.09-2.10
O17 0.6084 0.3326 0.0216  3 Mn 2.07-2.26, 1 Mg 2.08
O18 0.0327 0.3683 0.8277  1 Mn 2.15, 1 Mg 2.27, 2 Y 2.32-2.38
Mn1 0.6630 0.9958 0.4988  5 O 1.88-2.10
Mn2 0.9991 0.6645 0.4985  5 O 1.88-2.10
Mn3 0.9452 0.3384 0.0029  5 O 2.07-2.27
Mn4 0.3305 0.3230 0.5006  5 O 1.91-2.13
Mn5 0.3402 0.9672 0.0035  5 O 1.94-2.14
Mn6 0.7353 0.7390 0.0170  2 O 2.00-2.06
Y1 0.9923 0.9878 0.7675  7 O 2.26-2.44
Y2 0.6543 0.3253 0.2370  6 O 2.25-2.40
Y3 0.9919 0.9957 0.2804  7 O 2.22-2.43
Y4 0.3371 0.6706 0.7185  7 O 2.27-2.47
Y5 0.3226 0.6501 0.2359  6 O 2.28-2.40
Y6 0.6795 0.3343 0.7228  7 O 2.27-2.43
Mg1 0.3542 0.3774 0.9238  4 O 2.03-2.09


This record from the Materials Project describes a relaxed FeWO4 crystal. The functional is PBE+U.

Properties
space-group type = P2/c
final energy = -87.83 eV per cell
formation energy = -12.136 eV per formula unit

Cell lengths 4.8203, 5.1153, 5.7695 Å; angles 89.99, 89.99, 89.14 degrees
With the nearest neighbours (Å) after each atom.
Sites, in units of the cell vectors:
O1 0.2556 0.6069 0.6265  1 W 1.83
O2 0.7444 0.3931 0.3735  1 W 1.83
O3 0.2113 0.0668 0.8899  2 W 1.96-2.13, 1 Fe 2.13
O4 0.7888 0.4332 0.8900  2 W 1.96-2.13, 1 Fe 2.13
O5 0.7888 0.9332 0.1100  2 W 1.96-2.13, 1 Fe 2.13
O6 0.2554 0.1067 0.3734  1 W 1.83
O7 0.2112 0.5668 0.1100  2 W 1.96-2.13, 1 Fe 2.13
O8 0.7445 0.8932 0.6266  1 W 1.83
W1 0.0000 0.2500 0.1728  4 O 1.83-1.96
W2 0.0000 0.7500 0.8272  4 O 1.83-1.96
Fe1 0.5000 0.2500 0.6660  6 O 2.13-2.19
Fe2 0.5000 0.7500 0.3340  6 O 2.13-2.19


This record from the Materials Project describes a relaxed LiMnSiO4 crystal. The functional is PBE+U.

Properties
space-group type = Pna2_1
final energy = -602.00 eV per cell
formation energy = -18.294 eV per formula unit
total magnetic moment = 4.00 μB per formula unit

Cell lengths 18.8975, 8.1207, 5.5501 Å; angles 90.00, 89.98, 90.00 degrees
With the nearest neighbours (Å) after each atom.
Sites, in units of the cell vectors:
Mn1 0.8332 0.7501 0.5168  4 O 1.90-2.12
Mn2 0.4995 0.2509 0.9905  3 O 1.90-2.09
Mn3 0.0004 0.7509 0.4906  3 O 1.90-2.09
Mn4 0.6669 0.7499 0.5102  4 O 1.91-2.11
Mn5 0.6667 0.2502 0.0168  4 O 1.90-2.12
Mn6 0.1669 0.7501 0.5102  4 O 1.91-2.11
Mn7 0.3332 0.7499 0.5168  4 O 1.91-2.12
Mn8 0.3330 0.2501 0.0104  4 O 1.91-2.11
Mn9 0.5005 0.7490 0.4907  3 O 1.90-2.09
Mn10 0.1668 0.2500 0.0169  4 O 1.91-2.12
Mn11 0.8331 0.2499 0.0103  4 O 1.91-2.11
Mn12 0.9995 0.2490 0.9905  3 O 1.90-2.09
O1 0.0831 0.7812 0.7496  1 Si 1.69
O2 0.7491 0.7734 0.7893  1 Si 1.65
O3 0.0836 0.7737 0.2242  1 Si 1.65
O4 0.9189 0.7228 0.2399  1 Si 1.67
O5 0.0123 0.5179 0.4961  1 Si 1.63
O6 0.5831 0.7188 0.7497  1 Si 1.69
O7 0.4164 0.2737 0.7243  1 Si 1.65
O8 0.7494 0.2804 0.7634  1 Si 1.69
O9 0.5116 0.4838 0.9917  1 Si 1.63
O10 0.8216 0.5170 0.5159  1 Si 1.63
O11 0.5836 0.7262 0.2242  1 Si 1.65
O12 0.9143 0.7222 0.7665  1 Si 1.67
O13 0.2491 0.7266 0.7893  1 Si 1.65
O14 0.6552 0.9830 0.5150  1 Si 1.63
O15 0.6545 0.4828 0.0062  1 Si 1.63
O16 0.0116 0.0162 0.9917  1 Si 1.63
O17 0.4189 0.7772 0.2400  1 Si 1.67
O18 0.0858 0.2778 0.2665  1 Si 1.67
O19 0.5857 0.2222 0.2665  1 Si 1.67
O20 0.7510 0.2734 0.2894  1 Si 1.65
O21 0.1552 0.5170 0.5151  1 Si 1.63
O22 0.3448 0.0170 0.0151  1 Si 1.63
O23 0.4169 0.2811 0.2497  1 Si 1.69
O24 0.2506 0.7197 0.2634  1 Si 1.69
O25 0.7506 0.7803 0.2633  1 Si 1.69
O26 0.3216 0.9830 0.5159  1 Si 1.63
O27 0.4884 0.5162 0.4918  1 Si 1.63
O28 0.1545 0.0172 0.0062  1 Si 1.63
O29 0.2510 0.2266 0.2894  1 Si 1.65
O30 0.4877 0.0180 0.9961  1 Si 1.63
O31 0.9169 0.2189 0.2496  1 Si 1.69
O32 0.3455 0.5172 0.5062  1 Si 1.63
O33 0.8212 0.0167 0.0078  1 Si 1.63
O34 0.3212 0.4833 0.0079  1 Si 1.63
O35 0.8455 0.9828 0.5062  1 Si 1.63
O36 0.9877 0.4820 0.9960  1 Si 1.63
O37 0.5123 0.9820 0.4962  1 Si 1.63
O38 0.1784 0.4830 0.0159  1 Si 1.63
O39 0.5810 0.2227 0.7399  1 Si 1.67
O40 0.4143 0.7778 0.7667  1 Si 1.67
O41 0.0810 0.2772 0.7399  1 Si 1.67
O42 0.1788 0.9834 0.5078  1 Si 1.63
O43 0.6784 0.0170 0.0159  1 Si 1.63
O44 0.6788 0.5167 0.5078  1 Si 1.63
O45 0.9164 0.2263 0.7242  1 Si 1.66
O46 0.9884 0.9837 0.4917  1 Si 1.63
O47 0.8448 0.4830 0.0151  1 Si 1.63
O48 0.2494 0.2197 0.7634  1 Si 1.69
Si1 0.0836 0.4046 0.5041  4 O 1.63-1.67
Si2 0.5836 0.0954 0.5042  4 O 1.63-1.67
Si3 0.9164 0.5954 0.0041  4 O 1.63-1.67
Si4 0.4167 0.4038 0.4948  4 O 1.63-1.69
Si5 0.5833 0.5962 0.9948  4 O 1.63-1.69
Si6 0.9168 0.0962 0.4947  4 O 1.63-1.69
Si7 0.7502 0.4038 0.5183  4 O 1.63-1.69
Si8 0.7498 0.9038 0.0182  4 O 1.63-1.69
Si9 0.4164 0.9046 0.0042  4 O 1.63-1.67
Si10 0.2498 0.5962 0.0183  4 O 1.63-1.69
Si11 0.2502 0.0962 0.5183  4 O 1.63-1.69
Si12 0.0833 0.9038 0.9947  4 O 1.63-1.69
Li1 0.7504 0.0781 0.5175  4 O 1.96-2.14
Li2 0.0830 0.5759 0.0073  3 O 1.96-2.01
Li3 0.4164 0.5789 0.0005  4 O 1.96-2.09
Li4 0.2496 0.9220 0.0174  4 O 1.96-2.14
Li5 0.9164 0.9211 0.0004  4 O 1.96-2.09
Li6 0.4170 0.0759 0.5073  3 O 1.96-2.01
Li7 0.9170 0.4241 0.5073  3 O 1.96-2.01
Li8 0.7496 0.5781 0.0174  4 O 1.96-2.14
Li9 0.5836 0.4211 0.5004  4 O 1.96-2.09
Li10 0.5830 0.9241 0.0073  3 O 1.96-2.01
Li11 0.2504 0.4219 0.5175  4 O 1.96-2.14
Li12 0.0836 0.0789 0.5004  4 O 1.96-2.09


This record from the Materials Project describes a relaxed Li9Mn2Co5O16 crystal. The functional is PBE+U.

Properties
space-group type = P1
final energy = -185.37 eV per cell
formation energy = -57.673 eV per formula unit
total magnetic moment = 10.00 μB per formula unit

Cell lengths 2.9641, 9.8691, 10.3745 Å; angles 73.09, 82.70, 87.72 degrees
With the nearest neighbours (Å) after each atom.
Sites, in units of the cell vectors:
Co1 0.6173 0.1222 0.7492  4 O 1.91-1.96
Co2 0.1305 0.6229 0.7445  6 O 1.91-2.10
Co3 0.5018 0.5040 0.9989  6 O 1.95-2.12
Co4 0.7565 0.7553 0.4895  2 O 1.73-1.87
Co5 0.2478 0.2466 0.5037  6 O 1.96-2.09
O1 0.1856 0.2712 0.6861  2 Co 1.93-1.96, 1 Li 2.10
O2 0.9179 0.0325 0.1706  1 Mn 1.83, 2 Li 2.01-2.03
O3 0.0545 0.9784 0.8162  2 Co 1.92-2.14, 1 Mn 2.02, 2 Li 2.11-2.15
O4 0.7715 0.3956 0.4371  1 Mn 1.96, 2 Co 2.03-2.09, 2 Li 2.07-2.09
O5 0.8319 0.7192 0.3342  1 Co 1.73
O6 0.9592 0.3580 0.0643  2 Co 1.97-2.11, 1 Mn 2.00, 1 Li 2.13
O7 0.3013 0.2224 0.3202  1 Mn 1.97, 1 Co 1.97, 3 Li 2.11-2.19
O8 0.3099 0.8940 0.4445  1 Co 1.87, 2 Li 2.00-2.03
O9 0.5963 0.4763 0.8124  3 Co 2.00-2.10, 3 Li 2.07-2.14
O10 0.1837 0.6034 0.5649  2 Co 1.91-1.97, 2 Li 2.06-2.13
O11 0.6621 0.7699 0.6767  3 Co 1.97-2.10, 2 Li 2.11-2.18
O12 0.0521 0.6489 0.9318  3 Co 1.95-2.12, 2 Li 2.13-2.18
O13 0.7263 0.1009 0.5707  3 Co 1.91-2.06, 1 Li 2.08
O14 0.4859 0.8627 0.0540  2 Mn 1.95-1.96, 3 Li 2.06-2.15
O15 0.4462 0.5296 0.1863  1 Mn 1.95, 1 Co 2.02, 3 Li 2.06-2.15
O16 0.5078 0.1361 0.9349  1 Co 1.96, 2 Mn 2.00-2.02, 2 Li 2.17-2.18
Li1 0.3180 0.5643 0.3793  6 O 2.05-2.27
Li2 0.1903 0.9366 0.6232  6 O 2.00-2.22
Li3 0.5688 0.8139 0.8721  6 O 2.06-2.19
Li4 0.3873 0.8838 0.2505  6 O 2.03-2.27
Li5 0.0720 0.3190 0.8718  5 O 2.07-2.17
Li6 0.4206 0.1771 0.1319  5 O 2.01-2.21
Li7 0.9278 0.6874 0.1316  5 O 2.06-2.20
Li8 0.8141 0.0555 0.3678  6 O 2.11-2.26
Li9 0.6899 0.4383 0.6229  6 O 2.07-2.18
Mn1 0.8731 0.3768 0.2522  4 O 1.95-2.00
Mn2 0.9917 0.9969 0.0061  6 O 1.83-2.02


This record from the Materials Project describes a relaxed FeBiO3 crystal. The functional is PBE+U.

Properties
space-group type = Pnma
final energy = -124.80 eV per cell
formation energy = -8.314 eV per formula unit

Cell lengths 5.4822, 5.7299, 7.8644 Å; angles 90.00, 90.00, 90.00 degrees
With the nearest neighbours (Å) after each atom.
Sites, in units of the cell vectors:
Fe1 0.5000 0.0000 0.5000  6 O 2.04-2.06
Fe2 0.0000 0.5000 0.0000  6 O 2.04-2.06
Fe3 0.5000 0.0000 0.0000  6 O 2.04-2.06
Fe4 0.0000 0.5000 0.5000  6 O 2.04-2.06
O1 0.6949 0.3008 0.0473  2 Fe 2.06
O2 0.0973 0.4704 0.2500  2 Fe 2.04
O3 0.1949 0.1992 0.9527  2 Fe 2.06
O4 0.9027 0.5296 0.7500  2 Fe 2.04
O5 0.5973 0.0296 0.7500  2 Fe 2.04
O6 0.8052 0.8008 0.4527  2 Fe 2.06
O7 0.4027 0.9704 0.2500  2 Fe 2.04
O8 0.3051 0.6992 0.9527  2 Fe 2.06
O9 0.3051 0.6992 0.5473  2 Fe 2.06
O10 0.8051 0.8008 0.0473  2 Fe 2.06
O11 0.1949 0.1992 0.5473  2 Fe 2.06
O12 0.6949 0.3008 0.4527  2 Fe 2.06
Bi1 0.9893 0.0529 0.2500  4 O 2.32-2.46
Bi2 0.0107 0.9471 0.7500  4 O 2.32-2.46
Bi3 0.4893 0.4471 0.7500  4 O 2.32-2.46
Bi4 0.5107 0.5529 0.2500  4 O 2.32-2.46


Which of these has the highest formation energy? FeBiO3